Entry 1:
A geometry-optimized K structure, computed with PBE-GGA.

Properties
The formation energy comes out at 0.017 eV per atom. The space-group type is Cmce.

Lattice parameters (Å, degrees): 7.864 7.864 10.114 90.00 90.00 109.56
Positions (direct):
K 0.737 0.737 0.764
K 0.754 0.246 0.000
K 0.746 0.254 0.500
K 0.263 0.263 0.236
K 0.246 0.754 0.000
K 0.237 0.237 0.736
K 0.763 0.763 0.264
K 0.254 0.746 0.500

Entry 2:
A geometry-optimized K structure, computed with PBE-GGA.

Properties
The formation energy comes out at 0.034 eV per atom. The space-group type is Pm-3n.

Lattice parameters (Å, degrees): 8.369 8.369 8.369 90.00 90.00 90.00
Positions (direct):
K 0.750 0.000 0.500
K 0.000 0.500 0.750
K 0.000 0.500 0.250
K 0.500 0.750 0.000
K 0.000 0.000 0.000
K 0.250 0.000 0.500
K 0.500 0.500 0.500
K 0.500 0.250 0.000

Entry 3:
A geometry-optimized KLa3 structure, computed with PBE-GGA.

Properties
The formation energy comes out at 0.428 eV per atom. The space-group type is I4/mmm. For the size of the total moment, the calculation gives 0.001 μB/f.u.

Lattice parameters (Å, degrees): 6.715 6.715 6.715 132.29 132.29 69.77
Positions (direct):
La 0.750 0.250 0.500
La 0.250 0.750 0.500
La 0.500 0.500 0.000
K 0.000 0.000 0.000

Entry 4:
A geometry-optimized KLa3 structure, computed with PBE-GGA.

Properties
The formation energy comes out at 0.441 eV per atom. The space-group type is Pm-3m. For the size of the total moment, the calculation gives 0.032 μB/f.u.

Lattice parameters (Å, degrees): 5.456 5.456 5.456 90.00 90.00 90.00
Positions (direct):
La 0.500 0.500 0.000
La 0.000 0.500 0.500
La 0.500 0.000 0.500
K 0.000 0.000 0.000

Entry 5:
A geometry-optimized K2LiLa4O7 structure, computed with PBE-GGA.

Properties
The formation energy comes out at -2.926 eV per atom. The space-group type is P3. For the size of the total moment, the calculation gives 0.018 μB/f.u.

Lattice parameters (Å, degrees): 6.193 6.193 8.891 89.99 90.00 120.00
Positions (direct):
K 0.666 0.333 0.896
K 0.333 0.666 0.997
O 0.638 0.648 0.669
O 0.000 0.000 0.002
O 0.655 0.026 0.351
O 0.352 0.991 0.669
O 0.974 0.629 0.351
O 0.009 0.361 0.669
O 0.371 0.345 0.351
La 0.000 0.000 0.258
La 0.000 0.000 0.748
La 0.667 0.333 0.535
La 0.333 0.667 0.495
Li 0.667 0.333 0.244

Entry 6:
A geometry-optimized K2LiLa4O7 structure, computed with PBE-GGA.

Properties
The formation energy comes out at -2.917 eV per atom. The space-group type is P1. For the size of the total moment, the calculation gives 0.890 μB/f.u.

Lattice parameters (Å, degrees): 6.834 6.826 7.717 91.54 91.42 126.36
Positions (direct):
O 0.772 0.755 0.538
O 0.389 0.970 0.663
O 0.615 0.014 0.302
O 0.037 0.953 0.000
O 0.246 0.228 0.462
O 0.031 0.610 0.338
O 0.985 0.384 0.698
La 0.675 0.326 0.500
La 0.027 0.081 0.741
La 0.919 0.974 0.260
La 0.349 0.651 0.501
K 0.262 0.740 0.001
K 0.666 0.338 0.999
Li 0.131 0.871 0.499

Number 2 is which compound?
K